1.
This record from the Materials Project database describes a relaxed structure of Mg14CoC. The functional is PBE-GGA.

ΔH_f (0 K)   0.330 eV/atom
M_tot   0.08 μB per cell
Crystal system   hexagonal
Total energy   -2.0913 eV per atom

```
Mg14CoC
1.0
6.212 0.000 0.000
-3.106 5.379 0.000
0.000 0.000 9.524
Mg Co C
14 1 1
Direct
0.169 0.834 0.125
0.166 0.833 0.625
0.666 0.331 0.125
0.667 0.334 0.625
0.666 0.834 0.125
0.667 0.833 0.625
0.323 0.177 0.376
0.323 0.177 0.874
0.323 0.645 0.376
0.323 0.645 0.874
0.855 0.177 0.376
0.855 0.177 0.874
0.833 0.667 0.374
0.833 0.667 0.876
0.167 0.333 0.125
0.167 0.333 0.625
```

2.
This record from the Materials Project database describes a relaxed structure of MgCo3C. The functional is PBE-GGA.

ΔH_f (0 K)   -0.070 eV/atom
Crystal system   cubic
Total energy   -6.5004 eV per atom

```
MgCo3C
1.0
3.778 0.000 0.000
0.000 3.778 0.000
0.000 0.000 3.778
Mg Co C
1 3 1
Direct
0.000 0.000 0.000
0.000 0.500 0.500
0.500 0.000 0.500
0.500 0.500 0.000
0.500 0.500 0.500
```

3.
This record from the Materials Project database describes a relaxed structure of MnCo3C. The functional is PBE-GGA.

ΔH_f (0 K)   0.056 eV/atom
M_tot   6.19 μB per cell
Crystal system   cubic
Total energy   -7.8874 eV per atom

```
MnCo3C
1.0
-3.424 0.630 -1.404
-1.409 0.095 3.479
0.620 3.700 0.150
Mn Co C
1 3 1
Direct
0.500 0.500 0.500
0.500 0.000 0.000
0.000 0.500 0.000
0.000 0.000 0.500
0.000 0.000 0.000
```

4.
This record from the Materials Project database describes a relaxed structure of Co6Mo6C. The functional is PBE-GGA.

ΔH_f (0 K)   -0.051 eV/atom
M_tot   0.13 μB per cell
Crystal system   cubic
Total energy   -9.0476 eV per atom

```
Co6Mo6C
1.0
0.000 5.432 5.432
5.432 0.000 5.432
5.432 5.432 0.000
Co Mo C
12 12 2
Direct
0.417 0.417 0.748
0.417 0.748 0.417
0.748 0.417 0.417
0.417 0.417 0.417
0.833 0.833 0.502
0.833 0.502 0.833
0.502 0.833 0.833
0.833 0.833 0.833
0.625 0.625 0.125
0.625 0.125 0.625
0.125 0.625 0.625
0.625 0.625 0.625
0.052 0.052 0.448
0.448 0.052 0.448
0.052 0.448 0.448
0.448 0.448 0.052
0.052 0.448 0.052
0.448 0.052 0.052
0.198 0.198 0.802
0.802 0.198 0.802
0.198 0.802 0.802
0.802 0.802 0.198
0.198 0.802 0.198
0.802 0.198 0.198
0.250 0.250 0.250
0.000 0.000 0.000
```

5.
This record from the Materials Project database describes a relaxed structure of Co2Mo4C. The functional is PBE-GGA.

ΔH_f (0 K)   -0.062 eV/atom
M_tot   0.01 μB per cell
Crystal system   cubic
Total energy   -9.6087 eV per atom

```
Co2Mo4C
1.0
1.789 -3.273 7.066
-1.425 4.035 6.747
-5.849 -2.359 4.905
Co Mo C
8 16 4
Direct
0.919 0.244 0.919
0.331 0.331 0.006
0.006 0.331 0.331
0.331 0.331 0.331
0.244 0.919 0.919
0.919 0.919 0.919
0.919 0.919 0.244
0.331 0.006 0.331
0.125 0.625 0.125
0.125 0.125 0.625
0.625 0.125 0.125
0.125 0.125 0.125
0.938 0.938 0.562
0.688 0.312 0.312
0.312 0.688 0.688
0.688 0.688 0.312
0.688 0.312 0.688
0.312 0.688 0.312
0.562 0.938 0.562
0.562 0.938 0.938
0.938 0.562 0.562
0.938 0.562 0.938
0.312 0.312 0.688
0.562 0.562 0.938
0.625 0.125 0.625
0.625 0.625 0.125
0.125 0.625 0.625
0.625 0.625 0.625
```

6.
This record from the Materials Project database describes a relaxed structure of CoC8N6. The functional is PBE-GGA.

ΔH_f (0 K)   0.323 eV/atom
M_tot   2.00 μB per cell
Crystal system   orthorhombic
Total energy   -8.2631 eV per atom

```
CoC8N6
1.0
-5.176 0.633 1.202
0.916 -3.671 5.879
2.316 8.977 5.245
Co C N
2 16 12
Direct
0.000 0.500 0.500
0.000 0.000 0.000
0.396 0.000 0.739
0.396 0.500 0.761
0.604 0.000 0.261
0.604 0.500 0.239
0.596 0.000 0.653
0.596 0.500 0.847
0.404 0.000 0.347
0.404 0.500 0.153
0.704 0.169 0.609
0.704 0.331 0.891
0.296 0.169 0.391
0.704 0.669 0.891
0.296 0.831 0.391
0.296 0.669 0.109
0.704 0.831 0.609
0.296 0.331 0.109
0.800 0.305 0.566
0.800 0.195 0.934
0.200 0.305 0.434
0.800 0.805 0.934
0.200 0.695 0.434
0.200 0.805 0.066
0.800 0.695 0.566
0.200 0.195 0.066
0.228 0.000 0.809
0.228 0.500 0.691
0.772 0.000 0.191
0.772 0.500 0.309
```